Record 1
# Sr7OsN6 (PBE, optimized geometry)
data_Sr7OsN6
_cell_length_a 11.9725
_cell_length_b 6.7612
_cell_length_c 14.0384
_cell_angle_alpha 90.00
_cell_angle_beta 90.00
_cell_angle_gamma 90.00
_symmetry_space_group_name_H-M 'P b c n'
_symmetry_Int_Tables_number 60
loop_
_symmetry_equiv_pos_as_xyz
'x,y,z'
'-x,-y,-z'
'-x+1/2,-y+1/2,z+1/2'
'x+1/2,y+1/2,-z+1/2'
'x+1/2,-y+1/2,-z'
'-x+1/2,y+1/2,z'
'-x,y,-z+1/2'
'x,-y,z+1/2'
loop_
_atom_site_label
_atom_site_type_symbol
_atom_site_fract_x
_atom_site_fract_y
_atom_site_fract_z
Sr1 Sr 0.0000 0.0713 0.2500
Sr2 Sr 0.0349 0.2301 0.5158
Sr3 Sr 0.2138 0.3909 0.1209
Sr4 Sr 0.2162 0.3715 0.8749
Os1 Os 0.0000 0.4227 0.7500
N1 N 0.0293 0.4094 0.3573
N2 N 0.1189 0.2588 0.7054
N3 N 0.1679 0.0936 0.9949
# Total magnetization, μB per formula unit: 0.0
# ρ, Mg/m³: 5.19
# Energy of formation, kcal/mol of atoms: -13.920



Record 2
# UCrC2 (PBE, optimized geometry)
data_UCrC2
_cell_length_a 5.2458
_cell_length_b 3.7288
_cell_length_c 10.3947
_cell_angle_alpha 90.00
_cell_angle_beta 90.00
_cell_angle_gamma 90.00
_symmetry_space_group_name_H-M 'P n m a'
_symmetry_Int_Tables_number 62
loop_
_symmetry_equiv_pos_as_xyz
'x,y,z'
'-x,-y,-z'
'-x+1/2,-y,z+1/2'
'x+1/2,y,-z+1/2'
'x+1/2,-y+1/2,-z+1/2'
'-x+1/2,y+1/2,z+1/2'
'-x,y+1/2,-z'
'x,-y+1/2,z'
loop_
_atom_site_label
_atom_site_type_symbol
_atom_site_fract_x
_atom_site_fract_y
_atom_site_fract_z
U1 U 0.1045 0.2500 0.1440
Cr1 Cr 0.0991 0.7500 0.4302
C1 C 0.1005 0.2500 0.3755
C2 C 0.2449 0.7500 0.0007
# Total magnetization, μB per formula unit: 1.4
# ρ, Mg/m³: 10.26
# Energy of formation, kcal/mol of atoms: 1.730



Record 3
# ThFe2SiC (PBE, optimized geometry)
data_ThFe2SiC
_cell_length_a 3.8946
_cell_length_b 10.6932
_cell_length_c 6.7901
_cell_angle_alpha 90.00
_cell_angle_beta 90.00
_cell_angle_gamma 90.00
_symmetry_space_group_name_H-M 'C m c m'
_symmetry_Int_Tables_number 63
_symmetry_space_group_name_Hall '-C 2c 2'
loop_
_atom_site_label
_atom_site_type_symbol
_atom_site_fract_x
_atom_site_fract_y
_atom_site_fract_z
Th1 Th 0.0000 0.0585 0.2500
Fe1 Fe 0.0000 0.3362 0.0606
Si1 Si 0.0000 0.2247 0.7500
C1 C 0.0000 0.5000 0.0000
# Total magnetization, μB per formula unit: 0.0
# ρ, Mg/m³: 9.02
# Energy of formation, kcal/mol of atoms: -11.491



Record 4
# CaAg4Ru4O12 (PBE, optimized geometry)
data_CaAg4Ru4O12
_cell_length_a 12.6021
_cell_length_b 7.3593
_cell_length_c 7.2960
_cell_angle_alpha 90.00
_cell_angle_beta 124.72
_cell_angle_gamma 90.00
_symmetry_space_group_name_H-M 'C 1 m 1'
_symmetry_Int_Tables_number 8
loop_
_symmetry_equiv_pos_as_xyz
'x,y,z'
'x,-y,z'
'x+1/2,y+1/2,z'
'x+1/2,-y+1/2,z'
loop_
_atom_site_label
_atom_site_type_symbol
_atom_site_fract_x
_atom_site_fract_y
_atom_site_fract_z
Ca1 Ca 0.0000 0.0000 0.0000
Ag1 Ag 0.0589 0.3156 0.2572
Ag2 Ag 0.2426 0.5000 0.6267
Ag3 Ag 0.2573 0.5000 0.2435
Ru1 Ru 0.0316 0.2558 0.7135
Ru2 Ru 0.2812 0.0000 0.7198
Ru3 Ru 0.2874 0.0000 0.2252
O1 O 0.0965 0.5000 0.7867
O2 O 0.1549 0.1938 0.0401
O3 O 0.1579 0.1923 0.6515
O4 O 0.2029 0.0000 0.3884
O5 O 0.3503 0.0000 0.0360
O6 O 0.4056 0.1899 0.4054
O7 O 0.4079 0.2045 0.7978
O8 O 0.4610 0.5000 0.6515
# Total magnetization, μB per formula unit: 1.1
# ρ, Mg/m³: 6.38
# Energy of formation, kcal/mol of atoms: -26.467